An optimized crystal structure of NdTa3, computed with PBE-GGA.

```
NdTa3
1.0
6.936 0.000 0.000
0.000 6.936 0.000
0.000 0.000 6.936
Nd Ta
4 12
Direct
0.000 0.000 0.000 Nd
0.000 0.500 0.500 Nd
0.500 0.000 0.500 Nd
0.500 0.500 0.000 Nd
0.000 0.000 0.500 Ta
0.000 0.500 0.000 Ta
0.250 0.250 0.250 Ta
0.250 0.250 0.750 Ta
0.250 0.750 0.250 Ta
0.250 0.750 0.750 Ta
0.500 0.000 0.000 Ta
0.500 0.500 0.500 Ta
0.750 0.250 0.250 Ta
0.750 0.250 0.750 Ta
0.750 0.750 0.250 Ta
0.750 0.750 0.750 Ta
```

## Properties
- E (eV per atom) = -9.5552
- DFT formation energy (eV/atom) = 0.53
- magnetic moment (μB/f.u.) = 0.0
- SG = Fm-3m (225)